# C | the Materials Project database | GGA-PBE | optimized geometry
# **Total magnetic moment**: 0.00 μB per cell
# **Relative energy among the computed polymorphs**: 388.7 meV per atom
# **Volume**: 11.4 Å³ per atom
# **Final energy**: -8.84 eV/atom
data_C
_space_group_name_H-M_alt 'P n n m'
_space_group_IT_number 58
_cell_length_a 10.202
_cell_length_b 14.649
_cell_length_c 9.187
_cell_angle_alpha 90.00
_cell_angle_beta 90.00
_cell_angle_gamma 90.00
loop_
_space_group_symop_operation_xyz
'x,y,z'
'-x,-y,-z'
'-x,-y,z'
'x,y,-z'
'x+1/2,-y+1/2,-z+1/2'
'-x+1/2,y+1/2,z+1/2'
'-x+1/2,y+1/2,-z+1/2'
'x+1/2,-y+1/2,z+1/2'
loop_
_atom_site_label
_atom_site_fract_x
_atom_site_fract_y
_atom_site_fract_z
C1 0.009 0.237 0.079
C2 0.034 0.125 0.332
C3 0.060 0.035 0.412
C4 0.089 0.849 0.283
C5 0.102 0.792 0.155
C6 0.137 0.208 0.127
C7 0.147 0.152 0.250
C8 0.162 0.467 0.421
C9 0.182 0.560 0.373
C10 0.183 0.003 0.333
C11 0.194 0.618 0.500
C12 0.200 0.914 0.283
C13 0.217 0.191 0.000
C14 0.218 0.821 0.076
C15 0.222 0.396 0.345
C16 0.240 0.077 0.250

---

# C | the Materials Project database | GGA-PBE | optimized geometry
# **Total magnetic moment**: 0.00 μB per cell
# **Relative energy among the computed polymorphs**: 530.9 meV per atom
# **Volume**: 9.4 Å³ per atom
# **Final energy**: -8.70 eV/atom
data_C
_space_group_name_H-M_alt 'P n n m'
_space_group_IT_number 58
_cell_length_a 8.321
_cell_length_b 14.076
_cell_length_c 9.597
_cell_angle_alpha 90.00
_cell_angle_beta 90.00
_cell_angle_gamma 90.00
loop_
_space_group_symop_operation_xyz
'x,y,z'
'-x,-y,-z'
'-x,-y,z'
'x,y,-z'
'x+1/2,-y+1/2,-z+1/2'
'-x+1/2,y+1/2,z+1/2'
'-x+1/2,y+1/2,-z+1/2'
'x+1/2,-y+1/2,z+1/2'
loop_
_atom_site_label
_atom_site_fract_x
_atom_site_fract_y
_atom_site_fract_z
C1 0.007 0.163 0.156
C2 0.063 0.749 0.375
C3 0.078 0.912 0.070
C4 0.095 0.252 0.421
C5 0.127 0.785 0.237
C6 0.143 0.470 0.074
C7 0.153 0.145 0.216
C8 0.161 0.755 0.500
C9 0.182 0.551 0.148
C10 0.185 0.379 0.120
C11 0.188 0.956 0.175
C12 0.193 0.638 0.072
C13 0.216 0.320 0.000
C14 0.226 0.875 0.260
C15 0.229 0.049 0.224
C16 0.230 0.210 0.335

---

# C | the Materials Project database | GGA-PBE | optimized geometry
# **Relative energy among the computed polymorphs**: 11.9 meV per atom
# **Volume**: 10.1 Å³ per atom
# **Final energy**: -9.22 eV/atom
data_C
_space_group_name_H-M_alt 'P 6/m m m'
_space_group_IT_number 191
_space_group_name_Hall '-P 6 2'
_cell_length_a 2.4672
_cell_length_b 2.4672
_cell_length_c 3.8300
_cell_angle_alpha 90.00
_cell_angle_beta 90.00
_cell_angle_gamma 120.00
loop_
_atom_site_label
_atom_site_fract_x
_atom_site_fract_y
_atom_site_fract_z
C1 0.3333 0.6667 0.0000

---

# C | the Materials Project database | GGA-PBE | optimized geometry
# **Total magnetic moment**: 0.00 μB per cell
# **Relative energy among the computed polymorphs**: 8.3 meV per atom
# **Volume**: 10.7 Å³ per atom
# **Final energy**: -9.22 eV/atom
data_C
_space_group_name_H-M_alt 'C m m e'
_space_group_IT_number 67
_space_group_name_Hall '-C 2a 2'
_cell_length_a 2.467
_cell_length_b 4.277
_cell_length_c 8.150
_cell_angle_alpha 90.00
_cell_angle_beta 90.00
_cell_angle_gamma 90.00
loop_
_atom_site_label
_atom_site_fract_x
_atom_site_fract_y
_atom_site_fract_z
C1 0.000 0.083 0.234

---

# C | the Materials Project database | GGA-PBE | optimized geometry
# **Total magnetic moment**: 0.00 μB per cell
# **Relative energy among the computed polymorphs**: 335.1 meV per atom
# **Volume**: 6.0 Å³ per atom
# **Final energy**: -8.89 eV/atom
data_C
_space_group_name_H-M_alt 'I 4/m m m'
_space_group_IT_number 139
_space_group_name_Hall '-I 4 2'
_cell_length_a 4.379
_cell_length_b 4.379
_cell_length_c 2.515
_cell_angle_alpha 90.00
_cell_angle_beta 90.00
_cell_angle_gamma 90.00
loop_
_atom_site_label
_atom_site_fract_x
_atom_site_fract_y
_atom_site_fract_z
C1 0.180 0.180 0.000

---

# C | the Materials Project database | GGA-PBE | optimized geometry
# **Total magnetic moment**: 0.00 μB per cell
# **Relative energy among the computed polymorphs**: 998.8 meV per atom
# **Volume**: 12.5 Å³ per atom
# **Final energy**: -8.23 eV/atom
data_C
_space_group_name_H-M_alt 'I 4/m m m'
_space_group_IT_number 139
_space_group_name_Hall '-I 4 2'
_cell_length_a 6.764
_cell_length_b 6.764
_cell_length_c 6.567
_cell_angle_alpha 90.00
_cell_angle_beta 90.00
_cell_angle_gamma 90.00
loop_
_atom_site_label
_atom_site_fract_x
_atom_site_fract_y
_atom_site_fract_z
C1 0.121 0.121 0.000
C2 0.209 0.209 0.179

---

For each record above, in turn, the calculated ΔE_f values are 389 531 12 8 335 999 meV/atom.